(1)
Here is a geometry-optimized Na10Mg2Ti6Si7S5O48 structure from the Materials Project database. Energies are from PBE.

Computed properties:
- space-group type = P1, No. 1

abc: 17.751 8.923 22.331
angles: 90.05 89.74 120.11
Fractional positions:
O  0.488  0.173  0.590
O  0.415  0.034  0.088
O  0.774  0.851  0.470
O  0.107  0.032  0.304
O  0.273  0.695  0.970
O  0.579  0.464  0.255
O  0.842  0.166  0.747
O  0.425  0.493  0.425
O  0.065  0.502  0.858
O  0.519  0.845  0.694
O  0.349  0.549  0.529
O  0.077  0.501  0.575
O  0.647  0.828  0.973
O  0.082  0.178  0.409
O  0.920  0.809  0.307
O  0.818  0.515  0.638
O  0.259  0.820  0.756
O  0.415  0.525  0.744
O  0.079  0.694  0.755
O  0.589  0.694  0.755
O  0.681  0.493  0.076
O  0.915  0.305  0.244
O  0.577  0.971  0.909
O  0.341  0.516  0.247
O  0.914  0.792  0.589
O  0.443  0.516  0.144
O  0.937  0.520  0.138
O  0.415  0.804  0.588
O  0.747  0.630  0.859
O  0.605  0.178  0.803
O  0.903  0.970  0.692
O  0.906  0.846  0.193
O  0.650  0.459  0.755
O  0.943  0.381  0.643
O  0.924  0.492  0.425
O  0.921  0.533  0.745
O  0.987  0.802  0.090
O  0.067  0.645  0.079
O  0.915  0.028  0.088
O  0.257  0.643  0.578
O  0.014  0.817  0.696
O  0.598  0.027  0.590
O  0.082  0.202  0.691
O  0.739  0.167  0.244
O  0.246  0.867  0.360
O  0.175  0.843  0.575
O  0.765  0.705  0.975
O  0.987  0.789  0.805
O  0.422  0.309  0.245
O  0.151  0.465  0.478
O  0.420  0.026  0.807
O  0.579  0.964  0.193
O  0.099  0.170  0.089
O  0.322  0.522  0.637
O  0.847  0.150  0.029
O  0.820  0.131  0.421
O  0.754  0.349  0.426
O  0.319  0.121  0.138
O  0.846  0.525  0.244
O  0.417  0.526  0.024
O  0.425  0.307  0.530
O  0.646  0.457  0.473
O  0.600  0.179  0.088
O  0.567  0.487  0.579
O  0.597  0.032  0.306
O  0.439  0.357  0.638
O  0.257  0.867  0.076
O  0.688  0.878  0.858
O  0.823  0.497  0.927
O  0.095  0.161  0.806
O  0.082  0.703  0.474
O  0.740  0.359  0.138
O  0.400  0.822  0.910
O  0.907  0.831  0.909
O  0.019  0.195  0.193
O  0.925  0.543  0.030
O  0.588  0.206  0.696
O  0.566  0.630  0.358
O  0.737  0.121  0.639
O  0.917  0.028  0.809
O  0.757  0.822  0.756
O  0.579  0.650  0.074
O  0.014  0.841  0.408
O  0.729  0.153  0.531
O  0.083  0.460  0.976
O  0.515  0.208  0.197
O  0.583  0.467  0.973
O  0.254  0.159  0.926
O  0.150  0.840  0.254
O  0.417  0.805  0.309
O  0.757  0.867  0.078
O  0.240  0.317  0.746
O  0.678  0.869  0.578
O  0.322  0.512  0.921
O  0.151  0.484  0.758
O  0.401  0.833  0.192
O  0.321  0.147  0.425
O  0.244  0.123  0.644
O  0.427  0.362  0.925
O  0.580  0.188  0.405
O  0.231  0.156  0.242
O  0.230  0.305  0.031
O  0.487  0.186  0.306
O  0.146  0.834  0.973
O  0.186  0.500  0.359
O  0.989  0.161  0.587
O  0.089  0.013  0.589
O  0.066  0.634  0.355
O  0.257  0.692  0.257
O  0.089  0.483  0.255
O  0.733  0.309  0.030
O  0.088  0.970  0.196
O  0.237  0.353  0.139
O  0.925  0.357  0.926
O  0.511  0.182  0.908
O  0.652  0.821  0.257
O  0.988  0.160  0.307
O  0.822  0.122  0.138
O  0.847  0.538  0.530
O  0.080  0.973  0.905
O  0.183  0.868  0.857
O  0.900  0.977  0.410
O  0.683  0.499  0.356
O  0.235  0.169  0.525
O  0.583  0.707  0.476
O  0.759  0.699  0.256
O  0.405  0.966  0.693
O  0.506  0.830  0.409
O  0.754  0.146  0.927
O  0.565  0.501  0.856
O  0.758  0.877  0.362
O  0.005  0.181  0.910
O  0.265  0.826  0.474
O  0.345  0.154  0.030
O  0.913  0.307  0.526
O  0.178  0.487  0.078
O  0.408  0.982  0.410
O  0.489  0.818  0.087
O  0.731  0.306  0.743
O  0.253  0.360  0.425
O  0.756  0.647  0.577
O  0.348  0.170  0.748
O  0.488  0.810  0.809
O  0.258  0.641  0.862
Mg  0.835  0.330  0.682
Mg  0.332  0.326  0.687
Mg  0.163  0.668  0.018
Mg  0.663  0.660  0.517
Mg  0.833  0.334  0.187
Mg  0.337  0.341  0.182
Si  0.001  0.293  0.251
Si  0.522  0.373  0.914
Si  0.020  0.664  0.414
Si  0.645  0.997  0.250
Si  0.854  0.996  0.751
Si  0.977  0.335  0.583
Si  0.312  0.953  0.417
Si  0.169  0.963  0.919
Si  0.353  0.710  0.252
Si  0.668  0.375  0.419
Si  0.480  0.620  0.083
Si  0.162  0.373  0.419
Si  0.025  0.380  0.920
Si  0.501  0.709  0.752
Si  0.664  0.958  0.918
Si  0.146  0.295  0.751
Si  0.854  0.710  0.251
Si  0.524  0.669  0.420
Si  0.354  0.998  0.751
Si  0.809  0.667  0.918
Si  0.189  0.038  0.585
S  0.830  0.620  0.584
S  0.833  0.042  0.083
S  0.810  0.955  0.418
S  0.336  0.627  0.583
S  0.687  0.041  0.584
S  0.145  0.000  0.249
S  0.187  0.333  0.084
S  0.480  0.333  0.584
S  0.333  0.041  0.085
S  0.498  0.284  0.250
S  0.311  0.665  0.917
S  0.688  0.335  0.084
S  0.979  0.626  0.084
S  0.997  0.710  0.750
S  0.644  0.289  0.749
Ti  0.832  0.338  0.974
Ti  0.837  0.341  0.477
Ti  0.495  0.967  0.146
Ti  0.337  0.323  0.981
Ti  0.995  0.007  0.149
Ti  0.171  0.663  0.317
Ti  0.507  0.991  0.356
Ti  0.162  0.672  0.516
Ti  0.165  0.672  0.817
Ti  0.497  0.987  0.650
Ti  0.664  0.657  0.317
Ti  0.658  0.658  0.015
Ti  0.673  0.681  0.817
Ti  0.328  0.322  0.476
Ti  0.005  0.020  0.857
Ti  0.998  0.021  0.645
Ti  0.993  0.995  0.355
Ti  0.497  0.002  0.854
Na  0.172  0.671  0.164
Na  0.502  0.009  0.002
Na  0.007  0.008  0.999
Na  0.496  0.372  0.751
Na  0.150  0.330  0.582
Na  0.990  0.676  0.920
Na  0.508  0.007  0.498
Na  0.815  0.006  0.249
Na  0.164  0.028  0.418
Na  0.995  0.999  0.500
Na  0.335  0.336  0.331
Na  0.016  0.695  0.584
Na  0.490  0.306  0.419
Na  0.497  0.633  0.246
Na  0.671  0.672  0.664
Na  0.187  0.374  0.248
Na  0.687  0.364  0.251
Na  0.485  0.665  0.917
Na  0.996  0.622  0.251
Na  0.189  0.014  0.747
Na  0.996  0.359  0.747
Na  0.831  0.334  0.832
Na  0.664  0.668  0.163
Na  0.316  0.624  0.750
Na  0.330  0.323  0.831
Na  0.850  0.027  0.916
Na  0.169  0.673  0.665
Na  0.686  0.998  0.749
Na  0.351  0.669  0.415
Na  0.832  0.334  0.332

(2)
Here is a geometry-optimized Na4MgTi3Si3S3O24 structure from the Materials Project database. Energies are from PBE.

Computed properties:
- space-group type = P1, No. 1

abc: 8.830 8.847 22.402
angles: 89.34 90.63 120.01
Fractional positions:
Ti  0.652  0.319  0.476
Ti  0.342  0.661  0.515
Ti  0.342  0.669  0.818
Ti  0.358  0.685  0.312
Ti  0.993  0.011  0.652
Ti  0.668  0.307  0.978
Ti  0.986  0.982  0.147
Ti  0.016  0.029  0.857
Ti  0.329  0.675  0.019
Na  0.008  0.014  0.495
Na  0.376  0.008  0.753
Na  0.346  0.665  0.669
Na  0.341  0.676  0.161
Na  0.995  0.640  0.249
Na  0.655  0.324  0.328
Na  0.633  0.007  0.243
Na  0.002  0.005  0.001
Na  0.995  0.360  0.753
Na  0.372  0.357  0.250
Na  0.705  0.676  0.410
Na  0.661  0.334  0.834
O  0.865  0.504  0.427
O  0.161  0.700  0.753
O  0.689  0.515  0.242
O  0.306  0.831  0.973
O  0.800  0.839  0.194
O  0.846  0.538  0.030
O  0.023  0.190  0.910
O  0.510  0.824  0.756
O  0.135  0.643  0.077
O  0.882  0.359  0.638
O  0.197  0.165  0.807
O  0.151  0.966  0.908
O  0.972  0.791  0.803
O  0.035  0.212  0.197
O  0.355  0.491  0.075
O  0.500  0.150  0.924
O  0.637  0.508  0.924
O  0.850  0.319  0.242
O  0.691  0.544  0.528
O  0.023  0.816  0.415
O  0.797  0.823  0.910
O  0.463  0.154  0.530
O  0.635  0.114  0.145
O  0.883  0.523  0.139
O  0.478  0.305  0.744
O  0.848  0.536  0.741
O  0.694  0.164  0.027
O  0.541  0.696  0.970
O  0.966  0.182  0.304
O  0.975  0.174  0.588
O  0.486  0.162  0.245
O  0.136  0.492  0.576
O  0.139  0.500  0.856
O  0.810  0.966  0.416
O  0.840  0.023  0.807
O  0.853  0.367  0.924
O  0.028  0.827  0.695
O  0.199  0.175  0.088
O  0.158  0.192  0.693
O  0.514  0.371  0.429
O  0.642  0.518  0.636
O  0.313  0.479  0.475
O  0.508  0.645  0.577
O  0.848  0.022  0.090
O  0.204  0.040  0.307
O  0.976  0.801  0.087
O  0.173  0.477  0.975
O  0.118  0.632  0.364
O  0.197  0.023  0.587
O  0.504  0.876  0.357
O  0.803  0.966  0.692
O  0.516  0.831  0.474
O  0.846  0.311  0.531
O  0.822  0.788  0.313
O  0.161  0.182  0.416
O  0.477  0.364  0.138
O  0.372  0.505  0.359
O  0.497  0.840  0.072
O  0.827  0.803  0.588
O  0.365  0.866  0.856
O  0.511  0.638  0.863
O  0.157  0.965  0.192
O  0.296  0.814  0.258
O  0.479  0.117  0.637
O  0.515  0.691  0.256
O  0.642  0.151  0.428
O  0.698  0.171  0.744
O  0.295  0.481  0.756
O  0.155  0.683  0.472
O  0.162  0.468  0.256
O  0.353  0.863  0.575
O  0.464  0.312  0.030
S  0.997  0.713  0.750
S  0.001  0.290  0.250
S  0.375  0.334  0.082
S  0.045  0.663  0.418
S  0.957  0.336  0.584
S  0.373  0.039  0.583
S  0.956  0.621  0.083
S  0.669  0.625  0.583
S  0.624  0.667  0.918
Si  0.048  0.386  0.918
Si  0.288  0.002  0.252
Si  0.628  0.960  0.417
Si  0.324  0.371  0.416
Si  0.706  0.995  0.753
Si  0.668  0.035  0.086
Si  0.714  0.706  0.253
Si  0.328  0.954  0.915
Si  0.297  0.299  0.751
Mg  0.655  0.323  0.182
Mg  0.661  0.332  0.687
Mg  0.007  0.006  0.354

Number 1: formation energy from the elements -2747 meV/atom. Number 2: formation energy from the elements -2701 meV/atom.